VASP calculation (PBE+U) on a relaxed structure of Sr6Ti3FeO14.

Cell lengths 7.8874, 20.4196, 8.8068 Å; angles 90.00, 63.39, 90.00 degrees
Closest atoms and distances in Å follow each position.
Sites, in units of the cell vectors:
Sr1 0.1250 0.8156 0.2500  9 O 2.51-2.79
Sr2 0.6249 0.0004 0.2501  12 O 2.79
O1 0.1333 0.4044 0.7503  2 Fe 1.91-2.04
O2 0.0000 0.0001 0.0000  2 Ti 2.00-2.01
Ti1 0.9999 0.9022 0.0000  6 O 1.97-2.00
O3 0.1256 0.3076 0.2490  1 Fe 1.94
O4 0.2499 0.0002 0.5000  2 Ti 2.00-2.01
O5 0.1253 0.5957 0.7501  2 Ti 1.97
Sr3 0.6251 0.1857 0.2498  5 O 2.45-2.68
Fe1 0.6250 0.4022 0.2498  6 O 1.95-2.04
O6 0.0005 0.5954 0.4991  2 Ti 1.96-1.98
Sr4 0.3750 0.8156 0.7499  9 O 2.51-2.79
Ti2 0.8747 0.5959 0.7506  6 O 1.96-1.99
O7 0.6263 0.3059 0.2472  1 Fe 1.97
Sr5 0.8749 0.1857 0.7501  5 O 2.45-2.68
Sr6 0.2497 0.6831 0.5004  9 O 2.50-2.79
Sr7 0.7499 0.4965 0.4999  12 O 2.72-2.83
Ti3 0.1249 0.5975 0.2502  6 O 1.95-2.03
O8 0.0012 0.1945 0.0002  1 Ti 1.96
Sr8 0.1250 0.1855 0.2499  9 O 2.49-2.79
O9 0.2502 0.1948 0.4998  1 Ti 1.96
O10 0.5000 0.0001 0.0000  2 Ti 2.00-2.01
O11 0.8754 0.5956 0.2499  2 Ti 1.97
Sr9 0.3750 0.0004 0.7499  12 O 2.78-2.79
Ti4 0.7500 0.9022 0.5001  6 O 1.97-2.00
Ti5 0.7499 0.0988 0.5000  6 O 1.96-2.01
O12 0.8751 0.9035 0.2500  2 Ti 1.97
Ti6 0.6252 0.5961 0.2496  6 O 1.97-1.98
Ti7 0.2501 0.0988 0.4999  6 O 1.96-2.01
Sr10 0.0007 0.4971 0.0001  12 O 2.73-2.84
Ti8 0.3751 0.5972 0.7498  6 O 1.95-2.02
O13 0.6244 0.6930 0.2513  1 Ti 1.98
O14 0.7500 0.0970 0.0001  2 Ti 1.97
O15 0.7500 0.0002 0.5000  2 Ti 2.00-2.01
O16 0.3744 0.3077 0.7513  1 Fe 1.94
Sr11 0.6249 0.8153 0.2502  8 O 2.50-2.80
O17 0.8839 0.4042 0.2492  2 Fe 1.90-2.04
O18 0.4996 0.5952 0.5008  2 Ti 1.96-1.98
O19 0.3746 0.5956 0.2499  2 Ti 1.97-1.98
O20 0.2500 0.8056 0.4999  1 Ti 1.97
O21 0.1249 0.6927 0.2502  1 Ti 1.95
O22 0.9988 0.4045 0.5027  2 Fe 1.95-1.99
O23 0.7499 0.1948 0.4998  1 Ti 1.96
Sr12 0.4993 0.4970 0.0001  12 O 2.73-2.84
Sr13 0.7500 0.3189 0.5000  9 O 2.53-2.82
Ti9 0.0000 0.0987 0.0000  6 O 1.96-2.01
O24 0.2499 0.4039 0.0000  2 Fe 1.97
Sr14 0.3749 0.1856 0.7501  7 O 2.49-2.79
Sr15 0.7499 0.6831 0.5004  9 O 2.50-2.79
O25 0.4987 0.1945 0.0002  1 Ti 1.96
O26 0.6249 0.9035 0.7500  2 Ti 1.97
O27 0.6162 0.4044 0.7507  2 Fe 1.90-2.04
O28 0.3668 0.4043 0.2495  2 Fe 1.91-2.04
O29 0.0000 0.9035 0.5000  2 Ti 1.97
Sr16 0.9988 0.3182 0.9999  9 O 2.52-2.80
O30 0.8755 0.6932 0.7490  1 Ti 1.99
Sr17 0.2501 0.3189 0.5000  9 O 2.53-2.81
O31 0.3746 0.0970 0.2500  2 Ti 1.97
O32 0.7500 0.5967 0.0001  2 Ti 1.96-1.97
Sr18 0.2502 0.4965 0.4999  12 O 2.72-2.83
O33 0.3749 0.9035 0.2500  2 Ti 1.97
Ti10 0.2500 0.9022 0.5000  6 O 1.97-2.00
O34 0.8740 0.4998 0.7520  1 Ti 1.96, 1 Fe 1.99
O35 0.7500 0.8056 0.5000  1 Ti 1.97
Fe2 0.3753 0.4028 0.7495  6 O 1.90-1.99
Fe3 0.8752 0.4022 0.7500  6 O 1.95-2.04
O36 0.3743 0.4981 0.7513  1 Fe 1.95, 1 Ti 2.02
O37 0.1253 0.0970 0.7500  2 Ti 1.97
O38 0.1251 0.9035 0.7500  2 Ti 1.97
O39 0.2500 0.9035 0.0000  2 Ti 1.97
O40 0.2500 0.5958 0.0000  2 Ti 1.97
O41 0.4999 0.0971 0.5001  2 Ti 1.97
O42 0.6246 0.5957 0.7501  2 Ti 1.97-1.98
O43 0.5015 0.4044 0.4970  2 Fe 1.95-1.99
O44 0.3752 0.6927 0.7496  1 Ti 1.95
O45 0.5000 0.9035 0.5000  2 Ti 1.97
O46 0.0003 0.8056 0.0001  1 Ti 1.97
O47 0.8753 0.0970 0.2500  2 Ti 1.97
O48 0.1256 0.4980 0.2485  1 Fe 1.95, 1 Ti 2.03
O49 0.7500 0.9034 0.0001  2 Ti 1.97
Sr19 0.8750 0.8153 0.7499  5 O 2.49-2.67
O50 0.8737 0.3058 0.7526  1 Fe 1.97
O51 0.6247 0.0970 0.7500  2 Ti 1.97
Fe4 0.1246 0.4027 0.2506  6 O 1.90-1.99
O52 0.2500 0.0969 0.0000  2 Ti 1.97
Ti11 0.5000 0.9022 0.0000  6 O 1.97-2.00
O53 0.4996 0.8056 0.0001  1 Ti 1.97
O54 0.0000 0.0971 0.4999  2 Ti 1.97
O55 0.7500 0.4040 0.0001  2 Fe 1.97
Sr20 0.5016 0.6832 0.9997  7 O 2.50-2.79
Sr21 0.5011 0.3182 0.0000  9 O 2.53-2.79
Sr22 0.9987 0.6832 0.9997  7 O 2.50-2.79
Sr23 0.1250 0.0004 0.2501  12 O 2.79
Sr24 0.8750 0.0004 0.7500  12 O 2.79
Ti12 0.4999 0.0987 0.0000  6 O 1.96-2.01
O56 0.6261 0.4996 0.2480  1 Ti 1.97, 1 Fe 1.99

Results
* V: 1268.2 Å³/cell
* M_tot: 2.4 μB per cell
* crystal system: orthorhombic
* E_tot: -7.37 eV/atom
* offset from the most stable computed form: 5 meV/atom